No. 1
Compound: ScTiRu2
Source: the Materials Project
Functional: PBE
Structure: relaxed

Unit cell a=6.2927 b=6.2927 c=6.2927 alpha=90.00 beta=90.00 gamma=90.00
With the nearest neighbours (Å) after each atom.
Space group Fm-3m (No. 225)
Unique sites:
Sc1 0.0000 0.0000 0.0000  8 Ru 2.72
Ti1 0.0000 0.0000 0.5000  8 Ru 2.72
Ru1 0.2500 0.2500 0.2500  4 Sc 2.72, 4 Ti 2.72

Results
- mass density (g cm⁻³) = 7.9
- energy (eV/atom) = -8.85

No. 2
Compound: TmScRu2
Source: the Materials Project
Functional: PBE
Structure: relaxed

Unit cell a=6.5734 b=6.5734 c=6.5734 alpha=90.00 beta=90.00 gamma=90.00
With the nearest neighbours (Å) after each atom.
Space group Fm-3m (No. 225)
Unique sites:
Tm1 0.0000 0.0000 0.0000  8 Ru 2.85
Sc1 0.0000 0.0000 0.5000  8 Ru 2.85
Ru1 0.2500 0.2500 0.2500  4 Tm 2.85, 4 Sc 2.85

Results
- mass density (g cm⁻³) = 9.7
- energy (eV/atom) = -7.81

No. 3
Compound: Si3Ru2
Source: the Materials Project
Functional: PBE
Structure: relaxed

Unit cell a=11.1485 b=9.0092 c=5.5743 alpha=90.00 beta=90.00 gamma=90.00
With the nearest neighbours (Å) after each atom.
Space group Pbcn (No. 60)
Unique sites:
Si1 0.0734 0.2076 0.0555  5 Ru 2.38-2.62, 1 Si 2.66
Si2 0.1315 0.3946 0.6051  4 Ru 2.33-2.48
Si3 0.1795 0.0635 0.4131  4 Ru 2.37-2.53
Ru1 0.0000 0.0408 0.7500  6 Si 2.39-2.62
Ru2 0.0000 0.4248 0.2500  6 Si 2.33-2.48
Ru3 0.2459 0.1874 0.7638  7 Si 2.37-2.53

Results
- mass density (g cm⁻³) = 6.8
- energy (eV/atom) = -7.60

No. 4
Compound: Si3Ru
Source: the Materials Project
Functional: PBE
Structure: relaxed

Unit cell a=6.0294 b=6.0294 c=6.0294 alpha=90.00 beta=90.00 gamma=90.00
With the nearest neighbours (Å) after each atom.
Space group Fm-3m (No. 225)
Unique sites:
Si1 0.0000 0.0000 0.0000  8 Si 2.61
Si2 0.2500 0.2500 0.2500  4 Ru 2.61, 4 Si 2.61
Ru1 0.0000 0.0000 0.5000  8 Si 2.61

Results
- M_tot (μB per atom) = 0.000
- mass density (g cm⁻³) = 5.6
- energy (eV/atom) = -6.23

No. 5
Compound: Si3Ru5
Source: the Materials Project
Functional: PBE
Structure: relaxed

Unit cell a=5.3592 b=9.8659 c=4.0136 alpha=90.00 beta=90.00 gamma=90.00
With the nearest neighbours (Å) after each atom.
Space group Pbam (No. 55)
Unique sites:
Si1 0.0000 0.0000 0.0000  6 Ru 2.39-2.43
Si2 0.1115 0.3536 0.5000  6 Ru 2.42-2.54
Ru1 0.0000 0.5000 0.0000  6 Si 2.54-2.68, 2 Ru 2.83
Ru2 0.1572 0.7736 0.0000  3 Si 2.39-2.49
Ru3 0.1652 0.1064 0.5000  4 Si 2.42-2.46

Results
- mass density (g cm⁻³) = 9.2
- energy (eV/atom) = -8.28

No. 6
Compound: SiRu
Source: the Materials Project
Functional: PBE
Structure: relaxed

Unit cell a=4.7440 b=4.7440 c=4.7440 alpha=90.00 beta=90.00 gamma=90.00
With the nearest neighbours (Å) after each atom.
Space group P2_13 (No. 198)
Unique sites:
Si1 0.1628 0.3372 0.6628  4 Ru 2.40-2.43
Ru1 0.1292 0.1292 0.1292  4 Si 2.40-2.43

Results
- mass density (g cm⁻³) = 8.0
- energy (eV/atom) = -8.00
- maximum piezoelectric response (C/m²) = 1.30

No. 7
Compound: Si3Ru2
Source: the Materials Project
Functional: PBE
Structure: relaxed

Unit cell a=5.6073 b=5.6073 c=8.9367 alpha=90.00 beta=90.00 gamma=90.00
With the nearest neighbours (Å) after each atom.
Space group P-4c2 (No. 116)
Unique sites:
Si1 0.1444 0.2926 0.4096  3 Ru 2.32-2.45
Si2 0.3298 0.3298 0.7500  5 Ru 2.35-2.62
Ru1 0.0000 0.0000 0.2500  4 Si 2.32
Ru2 0.0000 0.5000 0.1277  6 Si 2.35-2.60
Ru3 0.5000 0.5000 0.0000  8 Si 2.45-2.61

Results
- mass density (g cm⁻³) = 6.8
- energy (eV/atom) = -7.58
- maximum piezoelectric response (C/m²) = 8.62

No. 8
Compound: SiRu
Source: the Materials Project
Functional: PBE
Structure: relaxed

Unit cell a=2.9385 b=2.9385 c=2.9385 alpha=90.00 beta=90.00 gamma=90.00
With the nearest neighbours (Å) after each atom.
Space group Pm-3m (No. 221)
Unique sites:
Si1 0.0000 0.0000 0.0000  8 Ru 2.54
Ru1 0.5000 0.5000 0.5000  8 Si 2.54

Results
- mass density (g cm⁻³) = 8.5
- energy (eV/atom) = -7.99

No. 9
Compound: Si3Ru2
Source: the Materials Project
Functional: PBE
Structure: relaxed

Unit cell a=11.1384 b=8.7833 c=5.7644 alpha=90.00 beta=90.00 gamma=90.00
With the nearest neighbours (Å) after each atom.
Space group Pbcn (No. 60)
Unique sites:
Si1 0.0381 0.1268 0.0031  4 Ru 2.35-2.59, 1 Si 2.38
Si2 0.1265 0.4971 0.5011  5 Ru 2.40-2.52
Si3 0.2277 0.1937 0.2749  3 Ru 2.42-2.51, 1 Si 2.69
Ru1 0.0000 0.3306 0.7500  6 Si 2.35-2.52
Ru2 0.0000 0.3440 0.2500  6 Si 2.42-2.45
Ru3 0.1781 0.0694 0.6361  7 Si 2.40-2.68

Results
- M_tot (μB per atom) = 0.000
- mass density (g cm⁻³) = 6.7
- energy (eV/atom) = -7.36

No. 10
Compound: Si3Ru2
Source: the Materials Project
Functional: PBE
Structure: relaxed

Unit cell a=13.0467 b=8.6164 c=5.2650 alpha=90.00 beta=90.00 gamma=90.00
With the nearest neighbours (Å) after each atom.
Space group Pbcn (No. 60)
Unique sites:
Si1 0.1219 0.2136 0.0412  4 Ru 2.33-2.56
Si2 0.1565 0.3214 0.5055  3 Ru 2.42-2.56, 3 Si 2.49-2.65
Si3 0.2372 0.0376 0.6877  2 Ru 2.42, 2 Si 2.49-2.51
Ru1 0.0000 0.2994 0.7500  4 Si 2.33-2.42, 1 Ru 2.52
Ru2 0.0000 0.4076 0.2500  3 Ru 2.52-2.79, 4 Si 2.56
Ru3 0.0895 0.0627 0.4124  5 Si 2.39-2.51

Results
- M_tot (μB per atom) = 0.001
- mass density (g cm⁻³) = 6.4
- energy (eV/atom) = -6.99

No. 11
Compound: Sm2Si5Ru3
Source: the Materials Project
Functional: PBE
Structure: relaxed

Unit cell a=10.8032 b=10.8032 c=5.7267 alpha=90.00 beta=90.00 gamma=90.00
With the nearest neighbours (Å) after each atom.
Space group P4/mnc (No. 128)
Unique sites:
Sm1 0.0715 0.2349 0.0000  9 Si 2.87-3.17, 2 Ru 3.20
Si1 0.0000 0.0000 0.2662  4 Ru 2.47, 1 Si 2.68
Si2 0.0222 0.3208 0.5000  4 Ru 2.42-2.51, 2 Si 2.56
Si3 0.1737 0.6737 0.2500  3 Ru 2.47-2.65, 2 Si 2.56
Ru1 0.0000 0.5000 0.2500  6 Si 2.42-2.65
Ru2 0.1247 0.8539 0.5000  6 Si 2.47-2.51

Results
- mass density (g cm⁻³) = 7.4
- ΔE to the lowest computed polymorph (eV per atom) = 0.0000

No. 12
Compound: Sm2Si5Ru3
Source: the Materials Project
Functional: PBE
Structure: relaxed

Unit cell a=11.0602 b=11.0602 c=5.6879 alpha=90.00 beta=90.00 gamma=90.00
With the nearest neighbours (Å) after each atom.
Space group P4/mnc (No. 128)
Unique sites:
Sm1 0.0914 0.2192 0.0000  5 Si 2.82-3.05
Si1 0.0000 0.0000 0.2721  4 Ru 2.48, 1 Si 2.59
Si2 0.0518 0.2964 0.5000  3 Ru 2.32-2.39
Si3 0.1404 0.6404 0.2500  4 Ru 2.62-2.67, 4 Si 2.65-2.84
Ru1 0.0000 0.5000 0.0000  2 Si 2.32
Ru2 0.1081 0.8424 0.5000  4 Si 2.34-2.48

Results
- M_tot (μB per atom) = 0.000
- mass density (g cm⁻³) = 7.1
- ΔE to the lowest computed polymorph (eV per atom) = 0.2894